# 1
First-principles (GGA-PBE) data for crystalline Nb6SI9 at its relaxed geometry, as listed in Materials Project.

Cell: 10.3561 10.8160 11.9965 Å, 106.37 104.80 112.63°
Atoms (fractional coordinates):
Nb1 0.0168 0.3522 0.4093
Nb2 0.1062 0.4789 0.6762
Nb3 0.2362 0.6563 0.5314
Nb4 0.3208 0.9851 0.9281
Nb5 0.3873 0.7590 0.9564
Nb6 0.4820 0.0617 0.1874
Nb7 0.5180 0.9383 0.8126
Nb8 0.6127 0.2410 0.0436
Nb9 0.6792 0.0149 0.0719
Nb10 0.7638 0.3437 0.4686
Nb11 0.8938 0.5211 0.3238
Nb12 0.9832 0.6478 0.5907
S1 0.2614 0.7427 0.7491
S2 0.7386 0.2573 0.2509
I1 0.0070 0.9176 0.7725
I2 0.1037 0.8311 0.4632
I3 0.1431 0.5059 0.2634
I4 0.1782 0.8141 0.0565
I5 0.2407 0.4474 0.9027
I6 0.3228 0.4432 0.5760
I7 0.3699 0.2486 0.1189
I8 0.4261 0.1529 0.7844
I9 0.4573 0.1427 0.4291
I10 0.5427 0.8573 0.5709
I11 0.5739 0.8471 0.2156
I12 0.6301 0.7514 0.8811
I13 0.6772 0.5568 0.4240
I14 0.7593 0.5526 0.0973
I15 0.8218 0.1859 0.9435
I16 0.8569 0.4941 0.7366
I17 0.8963 0.1689 0.5368
I18 0.9930 0.0824 0.2275

Calculated formation energy (kJ per mole of atoms): -78.0
SG: P-1, No. 2
Volume (A^3/atom): 33.91

***

# 2
First-principles (GGA-PBE) data for crystalline BaGe2S5 at its relaxed geometry, as listed in Materials Project.

Cell: 10.7661 10.7661 10.7661 Å, 60.00 60.00 60.00°
Atoms (fractional coordinates):
Ba1 0.0000 0.0000 0.0000
Ba2 0.0000 0.0000 0.5000
Ba3 0.0000 0.5000 0.0000
Ba4 0.5000 0.0000 0.0000
Ge1 0.2920 0.2920 0.2920
Ge2 0.2920 0.2920 0.6240
Ge3 0.2920 0.6240 0.2920
Ge4 0.3760 0.7080 0.7080
Ge5 0.6240 0.2920 0.2920
Ge6 0.7080 0.3760 0.7080
Ge7 0.7080 0.7080 0.3760
Ge8 0.7080 0.7080 0.7080
S1 0.1283 0.7906 0.7906
S2 0.2020 0.2020 0.5480
S3 0.2020 0.5480 0.2020
S4 0.2020 0.5480 0.5480
S5 0.2094 0.2094 0.2094
S6 0.2094 0.2094 0.8717
S7 0.2094 0.8717 0.2094
S8 0.4520 0.4520 0.7980
S9 0.4520 0.7980 0.4520
S10 0.4520 0.7980 0.7980
S11 0.5480 0.2020 0.2020
S12 0.5480 0.2020 0.5480
S13 0.5480 0.5480 0.2020
S14 0.7906 0.1283 0.7906
S15 0.7906 0.7906 0.1283
S16 0.7906 0.7906 0.7906
S17 0.7980 0.4520 0.4520
S18 0.7980 0.4520 0.7980
S19 0.7980 0.7980 0.4520
S20 0.8717 0.2094 0.2094

Calculated formation energy (kJ per mole of atoms): -110.6
SG: Fd-3m, No. 227
Volume (A^3/atom): 27.57

***

# 3
First-principles (GGA-PBE) data for crystalline Rb9Na2Al11Si13O48 at its relaxed geometry, as listed in Materials Project.

Cell: 12.1947 12.2597 12.5781 Å, 90.15 91.30 90.95°
Atoms (fractional coordinates):
Rb1 0.0000 0.0000 0.0000
Rb2 0.0095 0.4943 0.0068
Rb3 0.1947 0.8863 0.3443
Rb4 0.2473 0.2486 0.8471
Rb5 0.5165 0.5124 0.5236
Rb6 0.5425 0.9743 0.8128
Rb7 0.5898 0.5490 0.9475
Rb8 0.7045 0.2533 0.2948
Rb9 0.7825 0.7505 0.7999
Na1 0.3877 0.5988 0.1021
Na2 0.4337 0.9177 0.0798
Al1 0.0594 0.7430 0.8770
Al2 0.2400 0.9481 0.8831
Al3 0.2525 0.1123 0.0967
Al4 0.2556 0.5560 0.8881
Al5 0.2591 0.3812 0.1016
Al6 0.4331 0.1144 0.2762
Al7 0.4346 0.7596 0.8941
Al8 0.4485 0.7588 0.6446
Al9 0.6145 0.7546 0.1047
Al10 0.6261 0.5658 0.2688
Al11 0.8859 0.7443 0.0860
Si1 0.0619 0.1288 0.2748
Si2 0.0662 0.3763 0.2768
Si3 0.0746 0.7413 0.6354
Si4 0.2488 0.1290 0.4597
Si5 0.2509 0.3727 0.4592
Si6 0.2556 0.9409 0.6408
Si7 0.2598 0.5606 0.6443
Si8 0.4370 0.3793 0.2806
Si9 0.6289 0.9406 0.2867
Si10 0.6430 0.7581 0.4588
Si11 0.8839 0.5622 0.2650
Si12 0.8851 0.9309 0.2673
Si13 0.8904 0.7457 0.4459
O1 0.0023 0.7401 0.7415
O2 0.0099 0.2516 0.2693
O3 0.1243 0.8674 0.8924
O4 0.1293 0.0937 0.1727
O5 0.1351 0.6269 0.8945
O6 0.1363 0.1207 0.3841
O7 0.1370 0.4043 0.1741
O8 0.1393 0.3865 0.3877
O9 0.1478 0.6308 0.6257
O10 0.1544 0.8501 0.6234
O11 0.2245 0.0571 0.9710
O12 0.2331 0.0325 0.5467
O13 0.2481 0.4515 0.9826
O14 0.2522 0.0064 0.7527
O15 0.2526 0.2512 0.5161
O16 0.2590 0.4652 0.5505
O17 0.2660 0.4973 0.7574
O18 0.2799 0.2475 0.0740
O19 0.3545 0.1036 0.3913
O20 0.3592 0.0509 0.1717
O21 0.3615 0.3878 0.3890
O22 0.3625 0.8806 0.9080
O23 0.3668 0.6387 0.6233
O24 0.3700 0.4355 0.1826
O25 0.3716 0.8793 0.6225
O26 0.3752 0.6325 0.9220
O27 0.4710 0.2539 0.2625
O28 0.5081 0.7598 0.7730
O29 0.5369 0.7831 0.9918
O30 0.5501 0.4486 0.3089
O31 0.5606 0.7475 0.5571
O32 0.5639 0.0538 0.2939
O33 0.5681 0.6267 0.1559
O34 0.5803 0.8628 0.1918
O35 0.6236 0.6560 0.3782
O36 0.6277 0.8769 0.4015
O37 0.7462 0.7393 0.0620
O38 0.7585 0.9737 0.2631
O39 0.7590 0.5139 0.2491
O40 0.7724 0.7539 0.5073
O41 0.8917 0.6354 0.3744
O42 0.9093 0.8544 0.3719
O43 0.9208 0.8675 0.1609
O44 0.9303 0.6317 0.1656
O45 0.9448 0.7387 0.9609
O46 0.9574 0.0439 0.2854
O47 0.9609 0.4550 0.2843
O48 0.9921 0.7413 0.5294

Calculated formation energy (kJ per mole of atoms): -296.6
SG: P1, No. 1
Volume (A^3/atom): 22.65

***

# 4
First-principles (GGA-PBE) data for crystalline K6MgSb2O8 at its relaxed geometry, as listed in Materials Project.

Cell: 6.3838 6.6615 7.9356 Å, 82.38 88.70 76.37°
Atoms (fractional coordinates):
K1 0.0000 0.0000 0.0000
K2 0.0522 0.4110 0.7206
K3 0.3993 0.6078 0.0349
K4 0.5043 0.4503 0.4804
K5 0.5837 0.8220 0.6977
K6 0.9211 0.4852 0.2097
Mg1 0.5485 0.2088 0.9478
Sb1 0.0593 0.9711 0.4704
Sb2 0.4813 0.0129 0.2467
O1 0.1526 0.7777 0.6760
O2 0.2382 0.8261 0.2863
O3 0.2637 0.2287 0.0690
O4 0.3048 0.1315 0.4533
O5 0.6028 0.9009 0.0250
O6 0.6528 0.2306 0.1969
O7 0.6669 0.3811 0.7858
O8 0.6931 0.7944 0.3838

Excess energy over the best structure of this formula in the dataset (kJ/mol of formula units): 33
Calculated formation energy (kJ per mole of atoms): -177.7
SG: P1, No. 1
Volume (A^3/atom): 19.12

***

# 5
First-principles (GGA-PBE) data for crystalline TiGe4N4 at its relaxed geometry, as listed in Materials Project.

Cell: 5.2341 6.6369 7.8017 Å, 98.03 95.62 108.58°
Atoms (fractional coordinates):
Ti1 0.1715 0.3814 0.2422
Ti2 0.8285 0.6186 0.7578
Ge1 0.1451 0.9411 0.1402
Ge2 0.2472 0.5054 0.6266
Ge3 0.2546 0.9567 0.5507
Ge4 0.4223 0.6965 0.0552
Ge5 0.5777 0.3035 0.9448
Ge6 0.7454 0.0433 0.4493
Ge7 0.7528 0.4946 0.3734
Ge8 0.8549 0.0589 0.8598
N1 0.1150 0.1018 0.3584
N2 0.1542 0.6517 0.4220
N3 0.1924 0.6735 0.8392
N4 0.2201 0.1872 0.0164
N5 0.7799 0.8128 0.9836
N6 0.8076 0.3265 0.1608
N7 0.8458 0.3483 0.5780
N8 0.8850 0.8982 0.6416

Calculated formation energy (kJ per mole of atoms): -20.4
SG: P-1, No. 2
Volume (A^3/atom): 13.97

***

# 6
First-principles (GGA-PBE) data for crystalline Li3BiB2O6 at its relaxed geometry, as listed in Materials Project.

Cell: 4.8348 7.6417 8.9083 Å, 111.12 90.77 92.15°
Atoms (fractional coordinates):
Li1 0.0427 0.1603 0.2592
Li2 0.2309 0.8483 0.2473
Li3 0.3351 0.0930 0.6251
Li4 0.6649 0.9070 0.3749
Li5 0.7691 0.1517 0.7527
Li6 0.9573 0.8397 0.7408
Bi1 0.4038 0.5430 0.8029
Bi2 0.5962 0.4570 0.1971
B1 0.2716 0.2148 0.9452
B2 0.4465 0.7589 0.5434
B3 0.5535 0.2411 0.4566
B4 0.7284 0.7852 0.0548
O1 0.1154 0.1042 0.8170
O2 0.1986 0.2836 0.1099
O3 0.2881 0.6887 0.6390
O4 0.3491 0.1013 0.3983
O5 0.3784 0.6995 0.3775
O6 0.4662 0.7142 0.0782
O7 0.5338 0.2858 0.9218
O8 0.6216 0.3005 0.6225
O9 0.6509 0.8987 0.6017
O10 0.7119 0.3113 0.3610
O11 0.8014 0.7164 0.8901
O12 0.8846 0.8958 0.1830

Excess energy over the best structure of this formula in the dataset (kJ/mol of formula units): 86
Calculated formation energy (kJ per mole of atoms): -230.7
SG: P-1, No. 2
Volume (A^3/atom): 12.78

***

# 7
First-principles (GGA-PBE) data for crystalline YMg2 at its relaxed geometry, as listed in Materials Project.

Cell: 6.0594 6.0594 9.8399 Å, 90.00 90.00 120.00°
Atoms (fractional coordinates):
Y1 0.3333 0.6667 0.0647
Y2 0.3333 0.6667 0.4353
Y3 0.6667 0.3333 0.5647
Y4 0.6667 0.3333 0.9353
Mg1 0.0000 0.0000 0.0000
Mg2 0.0000 0.0000 0.5000
Mg3 0.1710 0.3421 0.7500
Mg4 0.1710 0.8290 0.7500
Mg5 0.3421 0.1710 0.2500
Mg6 0.6579 0.8290 0.7500
Mg7 0.8290 0.1710 0.2500
Mg8 0.8290 0.6579 0.2500

Calculated formation energy (kJ per mole of atoms): -8.3
SG: P6_3/mmc, No. 194
Volume (A^3/atom): 26.07

***

# 8
First-principles (GGA-PBE) data for crystalline Li7Ti7O16 at its relaxed geometry, as listed in Materials Project.

Cell: 10.3759 10.3759 10.3759 Å, 33.24 33.24 33.24°
Atoms (fractional coordinates):
Li1 0.0000 0.0000 0.0000
Li2 0.0827 0.0827 0.0827
Li3 0.2651 0.2651 0.2651
Li4 0.2825 0.7503 0.7503
Li5 0.4556 0.4556 0.4556
Li6 0.7503 0.2825 0.7503
Li7 0.7503 0.7503 0.2825
Ti1 0.0207 0.0207 0.5087
Ti2 0.0207 0.5087 0.0207
Ti3 0.0216 0.5109 0.5109
Ti4 0.5087 0.0207 0.0207
Ti5 0.5109 0.0216 0.5109
Ti6 0.5109 0.5109 0.0216
Ti7 0.7662 0.7662 0.7662
O1 0.1052 0.6605 0.6605
O2 0.1469 0.1469 0.1469
O3 0.1521 0.1521 0.6268
O4 0.1521 0.6268 0.1521
O5 0.3763 0.3763 0.9082
O6 0.3763 0.9082 0.3763
O7 0.3844 0.3844 0.3844
O8 0.4161 0.8732 0.8732
O9 0.6268 0.1521 0.1521
O10 0.6429 0.6429 0.6429
O11 0.6605 0.1052 0.6605
O12 0.6605 0.6605 0.1052
O13 0.8732 0.4161 0.8732
O14 0.8732 0.8732 0.4161
O15 0.8873 0.8873 0.8873
O16 0.9082 0.3763 0.3763

Calculated formation energy (kJ per mole of atoms): -296.6
SG: R3m, No. 160
Volume (A^3/atom): 9.96

***

# 9
First-principles (GGA-PBE) data for crystalline BaTi4O8 at its relaxed geometry, as listed in Materials Project.

Cell: 5.7851 5.7851 7.9587 Å, 90.00 90.00 120.00°
Atoms (fractional coordinates):
Ba1 0.0000 0.0000 0.0000
Ti1 0.3333 0.6667 0.2348
Ti2 0.3333 0.6667 0.7652
Ti3 0.6667 0.3333 0.2348
Ti4 0.6667 0.3333 0.7652
O1 0.0000 0.3681 0.2771
O2 0.0000 0.6319 0.7229
O3 0.3333 0.6667 0.0000
O4 0.3681 0.0000 0.2771
O5 0.3681 0.3681 0.7229
O6 0.6319 0.0000 0.7229
O7 0.6319 0.6319 0.2771
O8 0.6667 0.3333 0.0000

Calculated formation energy (kJ per mole of atoms): -313.0
SG: P-31m, No. 162
Volume (A^3/atom): 17.74

***

# 10
First-principles (GGA-PBE) data for crystalline Ti5CuSb3 at its relaxed geometry, as listed in Materials Project.

Cell: 8.1887 8.1887 5.5006 Å, 90.00 90.00 120.00°
Atoms (fractional coordinates):
Ti1 0.0000 0.2690 0.2500
Ti2 0.0000 0.7310 0.7500
Ti3 0.2690 0.0000 0.2500
Ti4 0.2690 0.2690 0.7500
Ti5 0.3333 0.6667 0.0000
Ti6 0.3333 0.6667 0.5000
Ti7 0.6667 0.3333 0.0000
Ti8 0.6667 0.3333 0.5000
Ti9 0.7310 0.0000 0.7500
Ti10 0.7310 0.7310 0.2500
Cu1 0.0000 0.0000 0.0000
Cu2 0.0000 0.0000 0.5000
Sb1 0.0000 0.3829 0.7500
Sb2 0.0000 0.6171 0.2500
Sb3 0.3829 0.0000 0.7500
Sb4 0.3829 0.3829 0.2500
Sb5 0.6171 0.0000 0.2500
Sb6 0.6171 0.6171 0.7500

Calculated formation energy (kJ per mole of atoms): -53.3
SG: P6_3/mcm, No. 193
Volume (A^3/atom): 17.75

***

# 11
First-principles (GGA-PBE) data for crystalline CaTl3 at its relaxed geometry, as listed in Materials Project.

Cell: 4.8962 4.8962 4.8962 Å, 90.00 90.00 90.00°
Atoms (fractional coordinates):
Ca1 0.0000 0.0000 0.0000
Tl1 0.0000 0.5000 0.5000
Tl2 0.5000 0.0000 0.5000
Tl3 0.5000 0.5000 0.0000

Calculated formation energy (kJ per mole of atoms): -23.8
SG: Pm-3m, No. 221
Volume (A^3/atom): 29.34

***

# 12
First-principles (GGA-PBE) data for crystalline Li2VCl4 at its relaxed geometry, as listed in Materials Project.

Cell: 7.4021 7.4021 7.4021 Å, 120.11 119.73 90.14°
Atoms (fractional coordinates):
Li1 0.0000 0.0000 0.5000
Li2 0.0000 0.5000 0.0000
Li3 0.3841 0.1341 0.2500
Li4 0.6159 0.8659 0.7500
V1 0.0000 0.5000 0.5000
V2 0.5000 0.5000 0.0000
Cl1 0.2254 0.7379 0.4874
Cl2 0.2465 0.2672 0.5207
Cl3 0.2465 0.7258 0.9793
Cl4 0.2495 0.2621 0.9874
Cl5 0.7505 0.7379 0.0126
Cl6 0.7535 0.2742 0.0207
Cl7 0.7535 0.7328 0.4793
Cl8 0.7746 0.2621 0.5126

Calculated formation energy (kJ per mole of atoms): -181.4
SG: Imma, No. 74
Volume (A^3/atom): 20.51